First-principles (GGA-PBE) data for a geometry-optimized Sc2GaC structure, as listed in Materials Project.

Lattice parameters (Å, degrees): 3.3089 3.3089 14.6967 90.00 90.00 120.00
Space group P6_3/mmc (No. 194)
Unique sites:
Sc  0.3333  0.6667  0.0845
Ga  0.3333  0.6667  0.7500
C  0.0000  0.0000  0.0000

Theoretical density: 4.09 g/cm³
Crystal system: hexagonal
Energy of formation: -0.534 eV/atom

First-principles (GGA-PBE) data for a geometry-optimized Tb3GaC structure, as listed in Materials Project.

Lattice parameters (Å, degrees): 4.886 4.886 4.886 90.00 90.00 90.00
Space group Pm-3m (No. 221)
Unique sites:
Tb  0.000  0.000  0.500
Ga  0.500  0.500  0.500
C  0.000  0.000  0.000

Theoretical density: 7.95 g/cm³
Crystal system: cubic
Energy of formation: -0.417 eV/atom

First-principles (GGA-PBE) data for a geometry-optimized Ti2GaC structure, as listed in Materials Project.

Lattice parameters (Å, degrees): 3.0799 3.0799 13.4533 90.00 90.00 120.00
Space group P6_3/mmc (No. 194)
Unique sites:
Ti  0.3333  0.6667  0.0850
Ga  0.3333  0.6667  0.7500
C  0.0000  0.0000  0.0000

Theoretical density: 5.33 g/cm³
Crystal system: hexagonal
Energy of formation: -0.759 eV/atom

First-principles (GGA-PBE) data for a geometry-optimized Ti4GaC3 structure, as listed in Materials Project.

Lattice parameters (Å, degrees): 3.0872 3.0872 23.2446 90.00 90.00 120.00
Space group P6_3/mmc (No. 194)
Unique sites:
Ti  0.0000  0.0000  0.1553
Ti  0.3333  0.6667  0.0517
Ga  0.3333  0.6667  0.2500
C  0.0000  0.0000  0.0000
C  0.3333  0.6667  0.6094

Theoretical density: 5.15 g/cm³
Crystal system: hexagonal
Energy of formation: -0.806 eV/atom

First-principles (GGA-PBE) data for a geometry-optimized V2GaC structure, as listed in Materials Project.

Lattice parameters (Å, degrees): 2.9368 2.9368 12.8826 90.00 90.00 120.00
Space group P6_3/mmc (No. 194)
Unique sites:
V  0.3333  0.6667  0.0855
Ga  0.3333  0.6667  0.7500
C  0.0000  0.0000  0.0000

Theoretical density: 6.34 g/cm³
Crystal system: hexagonal
Energy of formation: -0.518 eV/atom

First-principles (GGA-PBE) data for a geometry-optimized Y3GaC structure, as listed in Materials Project.

Lattice parameters (Å, degrees): 4.871 4.871 4.871 90.00 90.00 90.00
Space group Pm-3m (No. 221)
Unique sites:
Y  0.000  0.000  0.500
Ga  0.500  0.500  0.500
C  0.000  0.000  0.000

Theoretical density: 5.01 g/cm³
Crystal system: cubic
Energy of formation: -0.478 eV/atom

First-principles (GGA-PBE) data for a geometry-optimized GdH6C4NO9 structure, as listed in Materials Project.

Lattice parameters (Å, degrees): 7.953 6.151 12.380 90.00 129.56 90.00
Space group P2/c (No. 13)
Unique sites:
Gd  0.000  0.104  0.250
H  0.105  0.415  0.830
H  0.367  0.385  0.679
H  0.465  0.420  0.303
C  0.080  0.096  0.543
C  0.467  0.110  0.013
N  0.500  0.483  0.750
O  0.000  0.490  0.250
O  0.117  0.223  0.479
O  0.163  0.111  0.670
O  0.267  0.161  0.929
O  0.383  0.223  0.383

Theoretical density: 2.63 g/cm³
Crystal system: monoclinic
Energy of formation: -1.610 eV/atom

First-principles (GGA-PBE) data for a geometry-optimized GdH2C2SNO9 structure, as listed in Materials Project.

Lattice parameters (Å, degrees): 6.672 8.841 15.436 90.00 113.03 90.00
Space group P2_1/c (No. 14)
Unique sites:
Gd  0.172  0.231  0.417
H  0.251  0.527  0.533
H  0.302  0.113  0.099
C  0.107  0.029  0.223
C  0.158  0.523  0.265
S  0.235  0.665  0.974
N  0.454  0.157  0.692
O  0.077  0.738  0.009
O  0.104  0.557  0.660
O  0.153  0.604  0.200
O  0.178  0.701  0.875
O  0.230  0.119  0.279
O  0.234  0.003  0.488
O  0.280  0.063  0.824
O  0.297  0.079  0.038
O  0.455  0.724  0.035

Theoretical density: 2.96 g/cm³
Crystal system: monoclinic
Energy of formation: -1.488 eV/atom